# Na2SeO5 | the Materials Project database | PBE | optimized geometry
# electronic total energy	-4.602	eV per atom
# calculated density	2.57	g cm⁻³
# volume	529.92	Å³/cell
# magnetic moment	0.00	μB/f.u.
# formation energy from the elements	-0.842	eV/atom
# relative energy among the computed polymorphs	0.00	eV per formula unit
data_Na2SeO5
_chemical_formula_sum 'Na8 Se4 O20'
_space_group_name_H-M_alt 'C m c m'
_space_group_IT_number 63
_space_group_name_Hall '-C 2c 2'
_cell_length_a 6.2788
_cell_length_b 10.6570
_cell_length_c 7.9195
_cell_angle_alpha 90.00
_cell_angle_beta 90.00
_cell_angle_gamma 90.00
loop_
_atom_site_label
_atom_site_fract_x
_atom_site_fract_y
_atom_site_fract_z
_atom_site_occupancy
Na1 0.0000 0.0000 0.0000 1
Na2 0.0000 0.3532 0.2500 1
Se1 0.0000 0.2228 0.7500 1
O1 0.0000 0.0658 0.7500 1
O2 0.2288 0.1958 0.5553 1